Entry 1:
A plane-wave DFT calculation with meta-GGA r2SCAN was carried out for Pr3Tl after structural relaxation.

Computed properties:
As for the calculated total energy: -35.629 eV/atom.

Unit cell a=5.032 b=5.032 c=5.032 alpha=90.00 beta=90.00 gamma=90.00
Fractional positions:
Tl 0.000 0.000 0.000
Pr 0.500 0.000 0.500
Pr 0.500 0.500 0.000
Pr 0.000 0.500 0.500

Entry 2:
A plane-wave DFT calculation with meta-GGA r2SCAN was carried out for PrTmTl2 after structural relaxation.

Computed properties:
As for the calculated total energy: -43.156 eV/atom.

Unit cell a=5.410 b=5.410 c=5.410 alpha=60.00 beta=60.00 gamma=60.00
Fractional positions:
Tl 0.000 0.000 0.000
Pr 0.250 0.250 0.250
Tl 0.500 0.500 0.500
Tm 0.750 0.750 0.750

Entry 3:
A plane-wave DFT calculation with meta-GGA r2SCAN was carried out for PrTm3 after structural relaxation.

Computed properties:
The calculation puts the energy above the lowest structure with this stoichiometry at 0.049 eV per atom.

Unit cell a=6.120 b=6.120 c=6.120 alpha=131.33 beta=131.33 gamma=71.29
Fractional positions:
Pr 0.000 0.000 0.000
Tm 0.750 0.250 0.500
Tm 0.500 0.500 0.000
Tm 0.250 0.750 0.500

Entry 4:
A plane-wave DFT calculation with meta-GGA r2SCAN was carried out for PrTm3 after structural relaxation.

Computed properties:
The calculation puts the energy above the lowest structure with this stoichiometry at 0.000 eV per atom.

Unit cell a=7.212 b=7.217 c=5.747 alpha=90.00 beta=90.00 gamma=120.02
Fractional positions:
Tm 0.836 0.672 0.750
Tm 0.164 0.836 0.250
Tm 0.836 0.164 0.750
Tm 0.673 0.836 0.250
Pr 0.333 0.666 0.750
Pr 0.667 0.334 0.250
Tm 0.164 0.328 0.250
Tm 0.327 0.164 0.750

Entry 5:
A plane-wave DFT calculation with meta-GGA r2SCAN was carried out for Pr3Y after structural relaxation.

Computed properties:
The calculation puts the energy above the lowest structure with this stoichiometry at 0.001 eV per atom.

Unit cell a=5.218 b=5.218 c=5.218 alpha=90.00 beta=90.00 gamma=90.00
Fractional positions:
Pr 0.500 0.000 0.500
Y 0.000 0.000 0.000
Pr 0.500 0.500 0.000
Pr 0.000 0.500 0.500

Entry 6:
A plane-wave DFT calculation with meta-GGA r2SCAN was carried out for Pr2Y after structural relaxation.

Computed properties:
As for the calculated total energy: -26.318 eV/atom.

Unit cell a=9.185 b=9.185 c=9.185 alpha=23.30 beta=23.30 gamma=23.30
Fractional positions:
Pr 0.776 0.776 0.776
Pr 0.224 0.224 0.224
Y 0.000 0.000 0.000

Entry 7:
A plane-wave DFT calculation with meta-GGA r2SCAN was carried out for PrY3 after structural relaxation.

Computed properties:
The calculation puts the energy above the lowest structure with this stoichiometry at 0.056 eV per atom.

Unit cell a=6.272 b=6.272 c=6.272 alpha=131.38 beta=131.38 gamma=71.21
Fractional positions:
Y 0.750 0.250 0.500
Pr 0.000 0.000 0.000
Y 0.500 0.500 0.000
Y 0.250 0.750 0.500

Entry 8:
A plane-wave DFT calculation with meta-GGA r2SCAN was carried out for Pr3Y after structural relaxation.

Computed properties:
The calculation puts the energy above the lowest structure with this stoichiometry at 0.002 eV per atom.

Unit cell a=7.525 b=7.524 c=5.899 alpha=90.00 beta=90.00 gamma=120.00
Fractional positions:
Pr 0.832 0.168 0.750
Pr 0.665 0.832 0.250
Pr 0.167 0.832 0.250
Pr 0.167 0.335 0.250
Y 0.333 0.667 0.750
Y 0.667 0.333 0.250
Pr 0.832 0.664 0.750
Pr 0.336 0.168 0.750

Entry 9:
A plane-wave DFT calculation with meta-GGA r2SCAN was carried out for PrY3 after structural relaxation.

Computed properties:
The calculation puts the energy above the lowest structure with this stoichiometry at 0.000 eV per atom.

Unit cell a=7.381 b=7.381 c=5.916 alpha=90.00 beta=90.00 gamma=120.00
Fractional positions:
Y 0.836 0.164 0.750
Y 0.164 0.836 0.250
Y 0.164 0.329 0.250
Pr 0.333 0.667 0.750
Y 0.836 0.671 0.750
Y 0.329 0.164 0.750
Y 0.671 0.836 0.250
Pr 0.667 0.333 0.250

Entry 10:
A plane-wave DFT calculation with meta-GGA r2SCAN was carried out for Pr3Y after structural relaxation.

Computed properties:
The calculation puts the energy above the lowest structure with this stoichiometry at 0.000 eV per atom.

Unit cell a=6.364 b=6.364 c=6.364 alpha=131.36 beta=131.36 gamma=71.24
Fractional positions:
Pr 0.500 0.500 0.000
Pr 0.750 0.250 0.500
Pr 0.250 0.750 0.500
Y 0.000 0.000 0.000

Entry 11:
A plane-wave DFT calculation with meta-GGA r2SCAN was carried out for PrYZn2 after structural relaxation.

Computed properties:
As for the calculated total energy: -17.218 eV/atom.

Unit cell a=5.142 b=5.142 c=5.142 alpha=60.00 beta=60.00 gamma=60.00
Fractional positions:
Y 0.750 0.750 0.750
Zn 0.500 0.500 0.500
Zn 0.000 0.000 0.000
Pr 0.250 0.250 0.250

Entry 12:
A plane-wave DFT calculation with meta-GGA r2SCAN was carried out for YbPrZn2 after structural relaxation.

Computed properties:
As for the calculated total energy: -21.278 eV/atom.

Unit cell a=5.086 b=5.086 c=5.086 alpha=60.00 beta=60.00 gamma=60.00
Fractional positions:
Zn 0.750 0.750 0.750
Zn 0.250 0.250 0.250
Yb 0.000 0.000 0.000
Pr 0.500 0.500 0.500